(1)
! CaMoPb2O6 meta-GGA r2SCAN optimized geometry; values from VASP
&SYSTEM
  ibrav = 0, nat = 10, ntyp = 4
/
ATOMIC_SPECIES
Ca 40.08 Ca.upf
Mo 95.94 Mo.upf
Pb 207.20 Pb.upf
O 16.00 O.upf
CELL_PARAMETERS angstrom
0.0000 4.1440 4.1440
4.1440 0.0000 4.1440
4.1440 4.1440 0.0000
ATOMIC_POSITIONS crystal
Ca 0.0000 0.0000 0.0000
Mo 0.5000 0.5000 0.5000
Pb 0.2500 0.2500 0.2500
Pb 0.7500 0.7500 0.7500
O 0.2698 0.2698 0.7302
O 0.2698 0.7302 0.2698
O 0.2698 0.7302 0.7302
O 0.7302 0.2698 0.2698
O 0.7302 0.2698 0.7302
O 0.7302 0.7302 0.2698
! * space-group type: Fm-3m
! * formation enthalpy at 0 K: -1.9944 eV/atom


(2)
! CaUMo4O16 meta-GGA r2SCAN optimized geometry; values from VASP
&SYSTEM
  ibrav = 0, nat = 44, ntyp = 4
/
ATOMIC_SPECIES
Ca 40.08 Ca.upf
U 238.03 U.upf
Mo 95.94 Mo.upf
O 16.00 O.upf
CELL_PARAMETERS angstrom
8.2376 0.0000 0.0000
0.0000 6.6744 0.0000
-8.1517 0.0000 11.4396
ATOMIC_POSITIONS crystal
Ca 0.0000 0.2011 0.2500
Ca 0.0000 0.7989 0.7500
U 0.5000 0.2006 0.2500
U 0.5000 0.7994 0.7500
Mo 0.1997 0.3291 0.9038
Mo 0.1997 0.6709 0.4038
Mo 0.2972 0.3309 0.5929
Mo 0.2972 0.6691 0.0929
Mo 0.7028 0.3309 0.9071
Mo 0.7028 0.6691 0.4071
Mo 0.8003 0.3291 0.5962
Mo 0.8003 0.6709 0.0962
O 0.0000 0.4335 0.7500
O 0.0000 0.5665 0.2500
O 0.0950 0.3448 0.5978
O 0.0950 0.6552 0.0978
O 0.1364 0.0812 0.8761
O 0.1364 0.9188 0.3761
O 0.1869 0.3516 0.4380
O 0.1869 0.6484 0.9380
O 0.2821 0.1994 0.2525
O 0.2821 0.8006 0.7525
O 0.3138 0.3494 0.0667
O 0.3138 0.6506 0.5667
O 0.3711 0.0787 0.6282
O 0.3711 0.9213 0.1282
O 0.4060 0.3471 0.9028
O 0.4060 0.6529 0.4028
O 0.5000 0.4412 0.7500
O 0.5000 0.5588 0.2500
O 0.5940 0.3471 0.5972
O 0.5940 0.6529 0.0972
O 0.6289 0.0787 0.8718
O 0.6289 0.9213 0.3718
O 0.6862 0.3494 0.4333
O 0.6862 0.6506 0.9333
O 0.7179 0.1994 0.2475
O 0.7179 0.8006 0.7475
O 0.8131 0.3516 0.0620
O 0.8131 0.6484 0.5620
O 0.8636 0.0812 0.6239
O 0.8636 0.9188 0.1239
O 0.9050 0.3448 0.9022
O 0.9050 0.6552 0.4022
! * space-group type: P2/c
! * formation enthalpy at 0 K: -2.5225 eV/atom


(3)
! Ca3N2 meta-GGA r2SCAN optimized geometry; values from VASP
&SYSTEM
  ibrav = 0, nat = 10, ntyp = 2
/
ATOMIC_SPECIES
Ca 40.08 Ca.upf
N 14.01 N.upf
CELL_PARAMETERS angstrom
3.0892 1.7835 5.5233
-3.0892 1.7835 5.5233
0.0000 -3.5671 5.5233
ATOMIC_POSITIONS crystal
Ca 0.0493 0.7500 0.4507
Ca 0.2500 0.5493 0.9507
Ca 0.4507 0.0493 0.7500
Ca 0.5493 0.9507 0.2500
Ca 0.7500 0.4507 0.0493
Ca 0.9507 0.2500 0.5493
N 0.1463 0.1463 0.1463
N 0.3537 0.3537 0.3537
N 0.6463 0.6463 0.6463
N 0.8537 0.8537 0.8537
! * space-group type: R-3c
! * formation enthalpy at 0 K: -0.9430 eV/atom


(4)
! Ca3N2 meta-GGA r2SCAN optimized geometry; values from VASP
&SYSTEM
  ibrav = 0, nat = 20, ntyp = 2
/
ATOMIC_SPECIES
Ca 40.08 Ca.upf
N 14.01 N.upf
CELL_PARAMETERS angstrom
8.9404 0.0000 0.0000
0.0000 6.1910 0.0000
0.0000 0.0000 6.3364
ATOMIC_POSITIONS crystal
Ca 0.0000 0.0442 0.2500
Ca 0.0000 0.9558 0.7500
Ca 0.1528 0.3934 0.6050
Ca 0.1528 0.6066 0.1050
Ca 0.3472 0.1066 0.1050
Ca 0.3472 0.8934 0.6050
Ca 0.5000 0.4558 0.7500
Ca 0.5000 0.5442 0.2500
Ca 0.6528 0.1066 0.3950
Ca 0.6528 0.8934 0.8950
Ca 0.8472 0.3934 0.8950
Ca 0.8472 0.6066 0.3950
N 0.1122 0.2471 0.9684
N 0.1122 0.7529 0.4684
N 0.3878 0.2529 0.4684
N 0.3878 0.7471 0.9684
N 0.6122 0.2529 0.0316
N 0.6122 0.7471 0.5316
N 0.8878 0.2471 0.5316
N 0.8878 0.7529 0.0316
! * space-group type: Pbcn
! * formation enthalpy at 0 K: -0.9283 eV/atom


(5)
! Ca3N2 meta-GGA r2SCAN optimized geometry; values from VASP
&SYSTEM
  ibrav = 0, nat = 40, ntyp = 2
/
ATOMIC_SPECIES
Ca 40.08 Ca.upf
N 14.01 N.upf
CELL_PARAMETERS angstrom
-5.7170 5.7170 5.7170
5.7170 -5.7170 5.7170
5.7170 5.7170 -5.7170
ATOMIC_POSITIONS crystal
Ca 0.0070 0.0439 0.2715
Ca 0.0370 0.4930 0.7646
Ca 0.0439 0.2715 0.0070
Ca 0.2285 0.2724 0.7354
Ca 0.2276 0.4561 0.4630
Ca 0.2354 0.9630 0.5070
Ca 0.2646 0.7715 0.7276
Ca 0.2715 0.0070 0.0439
Ca 0.2724 0.7354 0.2285
Ca 0.4561 0.4630 0.2276
Ca 0.4630 0.2276 0.4561
Ca 0.4930 0.7646 0.0370
Ca 0.5070 0.2354 0.9630
Ca 0.5370 0.7724 0.5439
Ca 0.5439 0.5370 0.7724
Ca 0.7276 0.2646 0.7715
Ca 0.7285 0.9930 0.9561
Ca 0.7354 0.2285 0.2724
Ca 0.7646 0.0370 0.4930
Ca 0.7724 0.5439 0.5370
Ca 0.7715 0.7276 0.2646
Ca 0.9561 0.7285 0.9930
Ca 0.9630 0.5070 0.2354
Ca 0.9930 0.9561 0.7285
N 0.0000 0.0000 0.5000
N 0.0000 0.5000 0.0000
N 0.0396 0.7500 0.7896
N 0.2104 0.9604 0.2500
N 0.2500 0.2104 0.9604
N 0.2500 0.7104 0.4604
N 0.2896 0.5396 0.7500
N 0.4604 0.2500 0.7104
N 0.5000 0.0000 0.0000
N 0.5000 0.5000 0.5000
N 0.5396 0.7500 0.2896
N 0.7104 0.4604 0.2500
N 0.7500 0.2896 0.5396
N 0.7500 0.7896 0.0396
N 0.7896 0.0396 0.7500
N 0.9604 0.2500 0.2104
! * space-group type: Ia-3
! * formation enthalpy at 0 K: -0.9597 eV/atom


(6)
! Ca3N2 meta-GGA r2SCAN optimized geometry; values from VASP
&SYSTEM
  ibrav = 0, nat = 15, ntyp = 2
/
ATOMIC_SPECIES
Ca 40.08 Ca.upf
N 14.01 N.upf
CELL_PARAMETERS angstrom
7.4721 -1.8920 0.0000
7.4721 1.8920 0.0000
-1.6897 0.0000 9.1636
ATOMIC_POSITIONS crystal
Ca 0.0000 0.0000 0.0000
Ca 0.0311 0.0311 0.6598
Ca 0.2897 0.2897 0.3788
Ca 0.3277 0.3277 0.0345
Ca 0.3737 0.3737 0.7213
Ca 0.6263 0.6263 0.2787
Ca 0.6723 0.6723 0.9655
Ca 0.7103 0.7103 0.6212
Ca 0.9689 0.9689 0.3402
N 0.1410 0.1410 0.4878
N 0.1826 0.1826 0.1307
N 0.4690 0.4690 0.1880
N 0.5310 0.5310 0.8120
N 0.8174 0.8174 0.8693
N 0.8590 0.8590 0.5122
! * space-group type: C2/m
! * formation enthalpy at 0 K: -0.9218 eV/atom


(7)
! Ca5Si2N6 meta-GGA r2SCAN optimized geometry; values from VASP
&SYSTEM
  ibrav = 0, nat = 26, ntyp = 3
/
ATOMIC_SPECIES
Ca 40.08 Ca.upf
Si 28.09 Si.upf
N 14.01 N.upf
CELL_PARAMETERS angstrom
3.1245 -4.9963 0.0000
3.1245 4.9963 0.0000
-1.9378 0.0000 11.8499
ATOMIC_POSITIONS crystal
Ca 0.0897 0.0897 0.7071
Ca 0.1872 0.8128 0.0000
Ca 0.2415 0.7585 0.5000
Ca 0.2700 0.6199 0.2385
Ca 0.3801 0.7300 0.7615
Ca 0.6199 0.2700 0.2385
Ca 0.7300 0.3801 0.7615
Ca 0.7585 0.2415 0.5000
Ca 0.8128 0.1872 0.0000
Ca 0.9103 0.9103 0.2929
Si 0.3246 0.3246 0.4315
Si 0.3507 0.3507 0.9251
Si 0.6493 0.6493 0.0749
Si 0.6754 0.6754 0.5685
N 0.0546 0.3428 0.3732
N 0.0960 0.3891 0.8622
N 0.3428 0.0546 0.3732
N 0.3566 0.3566 0.0739
N 0.3891 0.0960 0.8622
N 0.3912 0.3912 0.5846
N 0.6088 0.6088 0.4154
N 0.6109 0.9040 0.1378
N 0.6434 0.6434 0.9261
N 0.6572 0.9454 0.6268
N 0.9040 0.6109 0.1378
N 0.9454 0.6572 0.6268
! * space-group type: C2/m
! * formation enthalpy at 0 K: -1.3624 eV/atom


| no. | total moment (μB per atom) |
| --- | --- |
| 1 | 0.00 |
| 2 | 0.00 |
| 3 | 0.00 |
| 4 | 0.00 |
| 5 | 0.00 |
| 6 | 0.00 |
| 7 | 0.00 |